Entry 1:
# PBE CaYNb2O7, optimized geometry
data_CaYNb2O7
_chemical_formula_sum 'Ca4 Y4 Nb8 O28'
_space_group_name_H-M_alt 'I m m a'
_space_group_IT_number 74
_space_group_name_Hall '-I 2b 2'
_cell_length_a 7.315
_cell_length_b 7.490
_cell_length_c 10.539
_cell_angle_alpha 90.00
_cell_angle_beta 90.00
_cell_angle_gamma 90.00
loop_
_atom_site_label
_atom_site_type_symbol
_atom_site_fract_x
_atom_site_fract_y
_atom_site_fract_z
Ca1 Ca 0.250 0.250 0.250
Y1 Y 0.000 0.000 0.000
Nb1 Nb 0.000 0.000 0.500
Nb2 Nb 0.250 0.250 0.750
O1 O 0.000 0.250 0.117
O2 O 0.000 0.250 0.431
O3 O 0.000 0.250 0.839
O4 O 0.207 0.047 0.623
# M_tot (μB/cell): 4.00
# Energy with MP2020 corrections (eV per atom): -9.07
# Energy of formation (eV/f.u.): -36.48



Entry 2:
# PBE NaSnPCO7, optimized geometry
data_NaSnPCO7
_chemical_formula_sum 'Na2 Sn2 P2 C2 O14'
_space_group_name_H-M_alt 'P 1 21/m 1'
_space_group_IT_number 11
_cell_length_a 5.332
_cell_length_b 6.588
_cell_length_c 8.793
_cell_angle_alpha 90.00
_cell_angle_beta 91.74
_cell_angle_gamma 90.00
loop_
_space_group_symop_operation_xyz
'x,y,z'
'-x,-y,-z'
'-x,y+1/2,-z'
'x,-y+1/2,z'
loop_
_atom_site_label
_atom_site_type_symbol
_atom_site_fract_x
_atom_site_fract_y
_atom_site_fract_z
Na1 Na 0.229 0.250 0.085
Sn1 Sn 0.220 0.750 0.332
P1 P 0.275 0.250 0.431
C1 C 0.297 0.750 0.046
O1 O 0.068 0.750 0.106
O2 O 0.128 0.250 0.578
O3 O 0.212 0.066 0.326
O4 O 0.333 0.750 0.908
O5 O 0.441 0.750 0.525
O6 O 0.480 0.750 0.154
# M_tot (μB/cell): 0.00
# Energy with MP2020 corrections (eV per atom): -7.21
# Energy of formation (eV/f.u.): -24.72
# Energy above the lowest structure with this stoichiometry (eV per atom): 0.000



Entry 3:
# PBE NbAlCl8, optimized geometry
data_NbAlCl8
_chemical_formula_sum 'Nb4 Al4 Cl32'
_space_group_name_H-M_alt 'C m c m'
_space_group_IT_number 63
_space_group_name_Hall '-C 2c 2'
_cell_length_a 8.646
_cell_length_b 17.878
_cell_length_c 8.742
_cell_angle_alpha 90.00
_cell_angle_beta 90.00
_cell_angle_gamma 90.00
loop_
_atom_site_label
_atom_site_type_symbol
_atom_site_fract_x
_atom_site_fract_y
_atom_site_fract_z
Nb1 Nb 0.000 0.113 0.250
Al1 Al 0.000 0.314 0.250
Cl1 Cl 0.000 0.133 0.513
Cl2 Cl 0.000 0.377 0.046
Cl3 Cl 0.192 0.231 0.250
Cl4 Cl 0.205 0.035 0.250
# Energy with MP2020 corrections (eV per atom): -4.70
# Energy of formation (eV/f.u.): -18.38